# 1
Compound: SrSeO4
Source: the Materials Project database
Functional: r²SCAN
Structure: optimized geometry

Calculated values
Magnetization   0.00 μB/cell
Total DFT energy (no corrections)   -10.74 eV/atom

The structure in CIF format:
```
data_SrSeO4
_space_group_name_H-M_alt 'P 1'
_space_group_IT_number 1
_cell_length_a 6.879
_cell_length_b 7.361
_cell_length_c 8.677
_cell_angle_alpha 90.00
_cell_angle_beta 127.12
_cell_angle_gamma 90.00
loop_
_space_group_symop_operation_xyz
'x,y,z'
loop_
_atom_site_label
_atom_site_type_symbol
_atom_site_fract_x
_atom_site_fract_y
_atom_site_fract_z
Sr1 Sr 0.178 0.156 0.278
Sr2 Sr 0.178 0.344 0.778
Sr3 Sr 0.822 0.656 0.222
Sr4 Sr 0.822 0.844 0.722
Se1 Se 0.308 0.665 0.194
Se2 Se 0.308 0.835 0.694
Se3 Se 0.692 0.165 0.306
Se4 Se 0.692 0.335 0.806
O1 O 0.114 0.663 0.615
O2 O 0.114 0.837 0.115
O3 O 0.191 0.503 0.247
O4 O 0.191 0.996 0.747
O5 O 0.328 0.611 0.019
O6 O 0.328 0.889 0.519
O7 O 0.410 0.216 0.123
O8 O 0.410 0.284 0.623
O9 O 0.590 0.716 0.377
O10 O 0.590 0.784 0.877
O11 O 0.672 0.111 0.481
O12 O 0.672 0.389 0.981
O13 O 0.809 0.004 0.253
O14 O 0.809 0.496 0.753
O15 O 0.886 0.163 0.885
O16 O 0.886 0.337 0.385
```

=====

# 2
Compound: Te3SeO8
Source: the Materials Project database
Functional: r²SCAN
Structure: optimized geometry

Calculated values
Magnetization   0.00 μB/cell
Total DFT energy (no corrections)   -12.55 eV/atom

The structure in CIF format:
```
data_Te3SeO8
_space_group_name_H-M_alt 'P 1'
_space_group_IT_number 1
_cell_length_a 4.879
_cell_length_b 6.942
_cell_length_c 11.586
_cell_angle_alpha 78.23
_cell_angle_beta 78.86
_cell_angle_gamma 69.74
loop_
_space_group_symop_operation_xyz
'x,y,z'
loop_
_atom_site_label
_atom_site_type_symbol
_atom_site_fract_x
_atom_site_fract_y
_atom_site_fract_z
Te1 Te 0.006 0.258 0.427
Te2 Te 0.355 0.136 0.695
Te3 Te 0.394 0.535 0.193
Te4 Te 0.606 0.465 0.807
Te5 Te 0.645 0.864 0.305
Te6 Te 0.994 0.742 0.573
Se1 Se 0.151 0.172 0.093
Se2 Se 0.849 0.828 0.907
O1 O 0.010 0.305 0.802
O2 O 0.086 0.776 0.780
O3 O 0.150 0.309 0.556
O4 O 0.244 0.975 0.433
O5 O 0.325 0.357 0.072
O6 O 0.338 0.322 0.320
O7 O 0.423 0.949 0.141
O8 O 0.481 0.646 0.328
O9 O 0.519 0.354 0.672
O10 O 0.577 0.051 0.859
O11 O 0.662 0.678 0.680
O12 O 0.675 0.643 0.928
O13 O 0.756 0.025 0.567
O14 O 0.850 0.691 0.444
O15 O 0.914 0.224 0.220
O16 O 0.990 0.695 0.198
```

=====

# 3
Compound: ThSe2O6
Source: the Materials Project database
Functional: r²SCAN
Structure: optimized geometry

Calculated values
Magnetization   0.00 μB/cell
Offset from the most stable computed form   0.000 eV/atom

The structure in CIF format:
```
data_ThSe2O6
_space_group_name_H-M_alt 'P 1'
_space_group_IT_number 1
_cell_length_a 7.202
_cell_length_b 10.879
_cell_length_c 8.674
_cell_angle_alpha 90.00
_cell_angle_beta 125.30
_cell_angle_gamma 90.00
loop_
_space_group_symop_operation_xyz
'x,y,z'
loop_
_atom_site_label
_atom_site_type_symbol
_atom_site_fract_x
_atom_site_fract_y
_atom_site_fract_z
Th1 Th 0.246 0.098 0.485
Th2 Th 0.246 0.402 0.985
Th3 Th 0.754 0.598 0.015
Th4 Th 0.754 0.902 0.515
Se1 Se 0.196 0.715 0.935
Se2 Se 0.196 0.785 0.435
Se3 Se 0.285 0.067 0.061
Se4 Se 0.285 0.433 0.561
Se5 Se 0.715 0.567 0.439
Se6 Se 0.715 0.933 0.939
Se7 Se 0.804 0.215 0.565
Se8 Se 0.804 0.285 0.065
O1 O 0.012 0.602 0.916
O2 O 0.012 0.898 0.416
O3 O 0.061 0.741 0.209
O4 O 0.061 0.759 0.709
O5 O 0.164 0.090 0.181
O6 O 0.164 0.410 0.681
O7 O 0.383 0.605 0.956
O8 O 0.383 0.895 0.456
O9 O 0.409 0.208 0.097
O10 O 0.409 0.292 0.597
O11 O 0.481 0.022 0.791
O12 O 0.481 0.478 0.291
O13 O 0.519 0.522 0.709
O14 O 0.519 0.978 0.209
O15 O 0.591 0.708 0.403
O16 O 0.591 0.792 0.903
O17 O 0.617 0.105 0.544
O18 O 0.617 0.395 0.044
O19 O 0.836 0.590 0.319
O20 O 0.836 0.910 0.819
O21 O 0.939 0.241 0.291
O22 O 0.939 0.259 0.791
O23 O 0.988 0.102 0.584
O24 O 0.988 0.398 0.084
```

=====

# 4
Compound: ThSe2O7
Source: the Materials Project database
Functional: r²SCAN
Structure: optimized geometry

Calculated values
Magnetization   0.00 μB/cell
Total DFT energy (no corrections)   -16.22 eV/atom

The structure in CIF format:
```
data_ThSe2O7
_space_group_name_H-M_alt 'P 1'
_space_group_IT_number 1
_cell_length_a 7.060
_cell_length_b 9.568
_cell_length_c 9.078
_cell_angle_alpha 90.00
_cell_angle_beta 103.21
_cell_angle_gamma 90.00
loop_
_space_group_symop_operation_xyz
'x,y,z'
loop_
_atom_site_label
_atom_site_type_symbol
_atom_site_fract_x
_atom_site_fract_y
_atom_site_fract_z
Th1 Th 0.209 0.040 0.366
Th2 Th 0.209 0.460 0.866
Th3 Th 0.791 0.540 0.134
Th4 Th 0.791 0.960 0.634
Se1 Se 0.121 0.681 0.518
Se2 Se 0.121 0.819 0.018
Se3 Se 0.328 0.096 0.749
Se4 Se 0.328 0.404 0.249
Se5 Se 0.672 0.596 0.751
Se6 Se 0.672 0.904 0.251
Se7 Se 0.879 0.181 0.982
Se8 Se 0.879 0.319 0.482
O1 O 0.046 0.584 0.366
O2 O 0.046 0.916 0.866
O3 O 0.059 0.234 0.907
O4 O 0.059 0.266 0.407
O5 O 0.105 0.061 0.626
O6 O 0.105 0.439 0.126
O7 O 0.253 0.691 0.975
O8 O 0.253 0.809 0.475
O9 O 0.270 0.588 0.648
O10 O 0.270 0.912 0.148
O11 O 0.338 0.228 0.254
O12 O 0.338 0.272 0.754
O13 O 0.450 0.060 0.609
O14 O 0.450 0.440 0.109
O15 O 0.550 0.560 0.891
O16 O 0.550 0.940 0.391
O17 O 0.662 0.728 0.246
O18 O 0.662 0.772 0.746
O19 O 0.730 0.088 0.852
O20 O 0.730 0.412 0.352
O21 O 0.747 0.191 0.525
O22 O 0.747 0.309 0.025
O23 O 0.895 0.561 0.874
O24 O 0.895 0.939 0.374
O25 O 0.941 0.734 0.593
O26 O 0.941 0.766 0.093
O27 O 0.954 0.084 0.134
O28 O 0.954 0.416 0.634
```

=====

Please write out number 3 again, unchanged.
Compound: ThSe2O6
Source: the Materials Project database
Functional: r²SCAN
Structure: optimized geometry

Calculated values
Magnetization   0.00 μB/cell
Offset from the most stable computed form   0.000 eV/atom

The structure in CIF format:
```
data_ThSe2O6
_space_group_name_H-M_alt 'P 1'
_space_group_IT_number 1
_cell_length_a 7.202
_cell_length_b 10.879
_cell_length_c 8.674
_cell_angle_alpha 90.00
_cell_angle_beta 125.30
_cell_angle_gamma 90.00
loop_
_space_group_symop_operation_xyz
'x,y,z'
loop_
_atom_site_label
_atom_site_type_symbol
_atom_site_fract_x
_atom_site_fract_y
_atom_site_fract_z
Th1 Th 0.246 0.098 0.485
Th2 Th 0.246 0.402 0.985
Th3 Th 0.754 0.598 0.015
Th4 Th 0.754 0.902 0.515
Se1 Se 0.196 0.715 0.935
Se2 Se 0.196 0.785 0.435
Se3 Se 0.285 0.067 0.061
Se4 Se 0.285 0.433 0.561
Se5 Se 0.715 0.567 0.439
Se6 Se 0.715 0.933 0.939
Se7 Se 0.804 0.215 0.565
Se8 Se 0.804 0.285 0.065
O1 O 0.012 0.602 0.916
O2 O 0.012 0.898 0.416
O3 O 0.061 0.741 0.209
O4 O 0.061 0.759 0.709
O5 O 0.164 0.090 0.181
O6 O 0.164 0.410 0.681
O7 O 0.383 0.605 0.956
O8 O 0.383 0.895 0.456
O9 O 0.409 0.208 0.097
O10 O 0.409 0.292 0.597
O11 O 0.481 0.022 0.791
O12 O 0.481 0.478 0.291
O13 O 0.519 0.522 0.709
O14 O 0.519 0.978 0.209
O15 O 0.591 0.708 0.403
O16 O 0.591 0.792 0.903
O17 O 0.617 0.105 0.544
O18 O 0.617 0.395 0.044
O19 O 0.836 0.590 0.319
O20 O 0.836 0.910 0.819
O21 O 0.939 0.241 0.291
O22 O 0.939 0.259 0.791
O23 O 0.988 0.102 0.584
O24 O 0.988 0.398 0.084
```